# 1
{"formula": "PrAg", "functional": "r²SCAN", "state": "optimized geometry", "lattice_angstrom": [[-2.4496, -2.8241, -0.4309], [2.4869, -1.8286, -2.1525], [1.4060, -1.6859, 3.0566]], "species": ["Pr", "Ag"], "frac_coords": [[0.5000, 0.5000, 0.5000], [0.0000, 0.0000, 0.0000]], "magnetic_moment_mub_per_atom": 0.00, "sg": "Pm-3m", "formation_energy_ev_per_atom": -0.257, "dft_energy_ev_per_fu": -51.27}

=====

# 2
{"formula": "PrAgSb2", "functional": "r²SCAN", "state": "optimized geometry", "lattice_angstrom": [[4.3719, 0.0000, 0.0000], [0.0000, 4.3719, 0.0000], [0.0000, 0.0000, 10.9744]], "species": ["Ag", "Ag", "Sb", "Sb", "Sb", "Sb", "Pr", "Pr"], "frac_coords": [[0.5000, 0.5000, 0.5000], [0.0000, 0.0000, 0.5000], [0.0000, 0.0000, 0.0000], [0.5000, 0.0000, 0.6694], [0.5000, 0.5000, 0.0000], [0.0000, 0.5000, 0.3306], [0.5000, 0.0000, 0.2355], [0.0000, 0.5000, 0.7645]], "magnetic_moment_mub_per_atom": 0.00, "sg": "P4/nmm", "formation_energy_ev_per_atom": -0.783, "dft_energy_ev_per_fu": -105.31}

=====

# 3
{"formula": "Pr5AgSe8", "functional": "r²SCAN", "state": "optimized geometry", "lattice_angstrom": [[-4.4724, 4.4724, 4.5348], [4.4724, -4.4724, 4.5348], [4.4724, 4.4724, -4.5348]], "species": ["Se", "Se", "Se", "Se", "Se", "Se", "Se", "Se", "Pr", "Pr", "Pr", "Pr", "Pr", "Ag"], "frac_coords": [[0.7623, 0.8677, 0.2582], [0.6354, 0.0227, 0.7512], [0.9773, 0.7285, 0.6127], [0.6094, 0.5041, 0.7418], [0.1158, 0.3646, 0.3873], [0.4959, 0.2377, 0.1054], [0.2715, 0.8842, 0.2488], [0.1324, 0.3906, 0.8947], [0.8827, 0.5013, 0.1220], [0.3793, 0.7607, 0.8780], [0.7500, 0.2500, 0.5000], [0.4987, 0.6207, 0.3814], [0.2393, 0.1173, 0.6186], [0.0000, 0.0000, 0.0000]], "magnetic_moment_mub_per_atom": 0.00, "sg": "I-4", "formation_energy_ev_per_atom": -1.963, "dft_energy_ev_per_fu": -310.34}

=====

# 4
{"formula": "PrSi2Ag", "functional": "r²SCAN", "state": "optimized geometry", "lattice_angstrom": [[0.0000, 0.0000, 4.2575], [4.2825, 0.0000, 0.0000], [-2.1412, 8.7397, 0.0000]], "species": ["Si", "Si", "Si", "Si", "Pr", "Pr", "Ag", "Ag"], "frac_coords": [[0.2500, 0.0319, 0.0639], [0.7500, 0.9681, 0.9361], [0.7500, 0.8349, 0.6698], [0.2500, 0.1651, 0.3302], [0.7500, 0.5976, 0.1953], [0.2500, 0.4024, 0.8047], [0.7500, 0.2520, 0.5041], [0.2500, 0.7480, 0.4959]], "magnetic_moment_mub_per_atom": 0.00, "sg": "Cmcm", "formation_energy_ev_per_atom": -0.547, "dft_energy_ev_per_fu": -70.50}

=====

# 5
{"formula": "PrAgSn", "functional": "r²SCAN", "state": "optimized geometry", "lattice_angstrom": [[-2.6862, 2.7591, -2.8699], [-0.8288, -4.7237, 0.2527], [-5.0044, 1.1898, 5.8279]], "species": ["Pr", "Pr", "Ag", "Ag", "Sn", "Sn"], "frac_coords": [[0.0000, 0.0000, 0.7511], [0.0000, 0.0000, 0.2511], [0.3333, 0.6667, 0.0521], [0.6667, 0.3333, 0.5521], [0.6667, 0.3333, 0.9718], [0.3333, 0.6667, 0.4718]], "magnetic_moment_mub_per_atom": 0.00, "sg": "P6_3mc", "formation_energy_ev_per_atom": -0.692, "dft_energy_ev_per_fu": -77.58}

=====

# 6
{"formula": "Pr5AgSn3", "functional": "r²SCAN", "state": "optimized geometry", "lattice_angstrom": [[-0.9250, 3.1284, 9.0340], [-6.9212, -5.3540, -3.9607], [3.0976, -5.6988, 2.2906]], "species": ["Sn", "Sn", "Sn", "Sn", "Sn", "Sn", "Pr", "Pr", "Pr", "Pr", "Pr", "Pr", "Pr", "Pr", "Pr", "Pr", "Ag", "Ag"], "frac_coords": [[0.0000, 0.3788, 0.2500], [0.6212, 0.6212, 0.2500], [0.6212, 0.0000, 0.7500], [0.0000, 0.6212, 0.7500], [0.3788, 0.3788, 0.7500], [0.3788, 0.0000, 0.2500], [0.7252, 0.0000, 0.2500], [0.6667, 0.3333, 0.0000], [0.7252, 0.7252, 0.7500], [0.3333, 0.6667, 0.0000], [0.2748, 0.2748, 0.2500], [0.6667, 0.3333, 0.5000], [0.3333, 0.6667, 0.5000], [0.0000, 0.7252, 0.2500], [0.0000, 0.2748, 0.7500], [0.2748, 0.0000, 0.7500], [0.0000, 0.0000, 0.5000], [0.0000, 0.0000, 0.0000]], "magnetic_moment_mub_per_atom": 0.21, "sg": "P6_3/mcm", "formation_energy_ev_per_atom": -0.737, "dft_energy_ev_per_fu": -249.25}

=====

# 7
{"formula": "Pr2TlAg", "functional": "r²SCAN", "state": "optimized geometry", "lattice_angstrom": [[0.0000, 3.8532, 3.8532], [3.8532, 0.0000, 3.8532], [3.8532, 3.8532, 0.0000]], "species": ["Ag", "Tl", "Pr", "Pr"], "frac_coords": [[0.2500, 0.2500, 0.2500], [0.7500, 0.7500, 0.7500], [0.5000, 0.5000, 0.5000], [0.0000, 0.0000, 0.0000]], "magnetic_moment_mub_per_atom": 0.12, "sg": "Fm-3m", "formation_energy_ev_per_atom": -0.381, "dft_energy_ev_per_fu": -134.87}

=====

# 8
{"formula": "YbPrAg2", "functional": "r²SCAN", "state": "optimized geometry", "lattice_angstrom": [[3.0286, -4.1924, 0.2431], [1.2597, -2.0205, 4.5976], [-1.9909, -4.5507, 1.4609]], "species": ["Yb", "Pr", "Ag", "Ag"], "frac_coords": [[0.0000, 0.0000, 0.0000], [0.5000, 0.5000, 0.5000], [0.7500, 0.7500, 0.7500], [0.2500, 0.2500, 0.2500]], "magnetic_moment_mub_per_atom": 0.00, "sg": "Fm-3m", "formation_energy_ev_per_atom": -0.292, "dft_energy_ev_per_fu": -109.81}

=====

# 9
{"formula": "Tm2AgPt", "functional": "r²SCAN", "state": "optimized geometry", "lattice_angstrom": [[-3.8634, 0.8138, 2.9308], [-3.5083, 3.1581, -1.3768], [-4.4468, -1.6674, -1.2740]], "species": ["Tm", "Tm", "Pt", "Ag"], "frac_coords": [[0.5000, 0.5000, 0.5000], [0.0000, 0.0000, 0.0000], [0.7500, 0.7500, 0.7500], [0.2500, 0.2500, 0.2500]], "magnetic_moment_mub_per_atom": 0.00, "sg": "Fm-3m", "formation_energy_ev_per_atom": -0.897, "dft_energy_ev_per_fu": -146.67}

=====

# 10
{"formula": "RbAg3Se2", "functional": "r²SCAN", "state": "optimized geometry", "lattice_angstrom": [[-3.4874, 2.1619, 1.5774], [-3.2083, -7.3207, -3.1849], [3.1966, -0.9417, 8.3580]], "species": ["Ag", "Ag", "Ag", "Ag", "Ag", "Ag", "Se", "Se", "Se", "Se", "Rb", "Rb"], "frac_coords": [[0.4100, 0.8200, 0.3589], [0.5900, 0.1800, 0.6411], [0.0578, 0.1155, 0.4041], [0.6884, 0.3768, 0.4378], [0.3116, 0.6232, 0.5622], [0.9422, 0.8845, 0.5959], [0.1986, 0.3971, 0.6982], [0.5198, 0.0395, 0.2180], [0.4802, 0.9605, 0.7820], [0.8014, 0.6029, 0.3018], [0.1361, 0.2721, 0.0488], [0.8639, 0.7279, 0.9512]], "magnetic_moment_mub_per_atom": 0.00, "sg": "C2/m", "formation_energy_ev_per_atom": -0.519, "dft_energy_ev_per_fu": -109.74}

=====

# 11
{"formula": "RbSm2Ag3Se5", "functional": "r²SCAN", "state": "optimized geometry", "lattice_angstrom": [[6.8660, 3.0424, -2.6372], [-7.7445, -1.3359, -1.2615], [-3.8977, 15.4004, 7.6191]], "species": ["Sm", "Sm", "Sm", "Sm", "Ag", "Ag", "Ag", "Ag", "Ag", "Ag", "Se", "Se", "Se", "Se", "Se", "Se", "Se", "Se", "Se", "Se", "Rb", "Rb"], "frac_coords": [[0.6911, 0.3089, 0.4044], [0.3089, 0.6911, 0.9044], [0.3089, 0.6911, 0.5956], [0.6911, 0.3089, 0.0956], [0.0844, 0.9156, 0.5359], [0.0844, 0.9156, 0.9641], [0.9156, 0.0844, 0.0359], [0.9156, 0.0844, 0.4641], [0.8398, 0.1602, 0.7500], [0.1602, 0.8398, 0.2500], [0.6777, 0.3223, 0.5705], [0.9361, 0.0639, 0.6202], [0.0639, 0.9361, 0.3798], [0.2427, 0.7573, 0.7500], [0.6777, 0.3223, 0.9295], [0.3223, 0.6777, 0.4295], [0.3223, 0.6777, 0.0705], [0.9361, 0.0639, 0.8798], [0.0639, 0.9361, 0.1202], [0.7573, 0.2427, 0.2500], [0.4362, 0.5638, 0.2500], [0.5638, 0.4362, 0.7500]], "magnetic_moment_mub_per_atom": 0.00, "sg": "Cmcm", "formation_energy_ev_per_atom": -1.317, "dft_energy_ev_per_fu": -223.50}

=====

# 12
{"formula": "Rb3AgSn3Se8", "functional": "r²SCAN", "state": "optimized geometry", "lattice_angstrom": [[8.4784, 0.0000, 0.0000], [0.0000, 8.4784, 0.0000], [0.0000, 0.0000, 13.6075]], "species": ["Rb", "Rb", "Rb", "Rb", "Rb", "Rb", "Se", "Se", "Se", "Se", "Se", "Se", "Se", "Se", "Se", "Se", "Se", "Se", "Se", "Se", "Se", "Se", "Sn", "Sn", "Sn", "Sn", "Sn", "Sn", "Ag", "Ag"], "frac_coords": [[0.5000, 0.5000, 0.5000], [0.5000, 0.5000, 0.7756], [0.5000, 0.5000, 0.2244], [0.0000, 0.0000, 0.7756], [0.0000, 0.0000, 0.2244], [0.0000, 0.0000, 0.5000], [0.1590, 0.3410, 0.1246], [0.6590, 0.8410, 0.8754], [0.3410, 0.8410, 0.1246], [0.8410, 0.3410, 0.8754], [0.8410, 0.6590, 0.1246], [0.8278, 0.3278, 0.3616], [0.8278, 0.6722, 0.6384], [0.6590, 0.1590, 0.1246], [0.1722, 0.3278, 0.6384], [0.1590, 0.6590, 0.8754], [0.6722, 0.1722, 0.6384], [0.1722, 0.6722, 0.3616], [0.3278, 0.1722, 0.3616], [0.3278, 0.8278, 0.6384], [0.6722, 0.8278, 0.3616], [0.3410, 0.1590, 0.8754], [0.5000, 0.0000, 0.2592], [0.0000, 0.5000, 0.7408], [0.5000, 0.0000, 0.7408], [0.0000, 0.5000, 0.2592], [0.5000, 0.0000, 0.0000], [0.0000, 0.5000, 0.0000], [0.5000, 0.0000, 0.5000], [0.0000, 0.5000, 0.5000]], "magnetic_moment_mub_per_atom": 0.00, "sg": "P4/nbm", "formation_energy_ev_per_atom": -0.798, "dft_energy_ev_per_fu": -263.85}

=====

# 13
{"formula": "Rb5Ti6AgSe27", "functional": "r²SCAN", "state": "optimized geometry", "lattice_angstrom": [[-3.8260, -1.2897, -12.8778], [-3.1050, -9.6063, 8.9564], [-12.0335, 6.6060, 2.9136]], "species": ["Se", "Se", "Se", "Se", "Se", "Se", "Se", "Se", "Se", "Se", "Se", "Se", "Se", "Se", "Se", "Se", "Se", "Se", "Se", "Se", "Se", "Se", "Se", "Se", "Se", "Se", "Se", "Se", "Se", "Se", "Se", "Se", "Se", "Se", "Se", "Se", "Se", "Se", "Se", "Se", "Se", "Se", "Se", "Se", "Se", "Se", "Se", "Se", "Se", "Se", "Se", "Se", "Se", "Se", "Rb", "Rb", "Rb", "Rb", "Rb", "Rb", "Rb", "Rb", "Rb", "Rb", "Ti", "Ti", "Ti", "Ti", "Ti", "Ti", "Ti", "Ti", "Ti", "Ti", "Ti", "Ti", "Ag", "Ag"], "frac_coords": [[0.0965, 0.8928, 0.1010], [0.1563, 0.8174, 0.4874], [0.3222, 0.2026, 0.2450], [0.5433, 0.4137, 0.3808], [0.8174, 0.1563, 0.9874], [0.6778, 0.8804, 0.7450], [0.2026, 0.3222, 0.7450], [0.1826, 0.3389, 0.4874], [0.1297, 0.5863, 0.8808], [0.6611, 0.8437, 0.4874], [0.4892, 0.4752, 0.0000], [0.6903, 0.1864, 0.1589], [0.4721, 0.3336, 0.7411], [0.4961, 0.3097, 0.1589], [0.8390, 0.6427, 0.4931], [0.8703, 0.4567, 0.3808], [0.6664, 0.1385, 0.7411], [0.8928, 0.0965, 0.6010], [0.9035, 0.7963, 0.6010], [0.0789, 0.8846, 0.3691], [0.4752, 0.4892, 0.5000], [0.5108, 0.9860, 0.5000], [0.1610, 0.8037, 0.9931], [0.5863, 0.1297, 0.3808], [0.9211, 0.8057, 0.8691], [0.3573, 0.1963, 0.4931], [0.8057, 0.9211, 0.3691], [0.6427, 0.8390, 0.9931], [0.0140, 0.5248, 0.5000], [0.8615, 0.5279, 0.7411], [0.9860, 0.5108, 0.0000], [0.7974, 0.1196, 0.2450], [0.8846, 0.0789, 0.8691], [0.5248, 0.0140, 0.0000], [0.4567, 0.8703, 0.8808], [0.1963, 0.3573, 0.9931], [0.5279, 0.8615, 0.2411], [0.3336, 0.4721, 0.2411], [0.4137, 0.5433, 0.8808], [0.1385, 0.6664, 0.2411], [0.1154, 0.1943, 0.3691], [0.3389, 0.1826, 0.9874], [0.5039, 0.8136, 0.6589], [0.2037, 0.1072, 0.6010], [0.8804, 0.6778, 0.2450], [0.8136, 0.5039, 0.1589], [0.1072, 0.2037, 0.1010], [0.8437, 0.6611, 0.9874], [0.1196, 0.7974, 0.7450], [0.1943, 0.1154, 0.8691], [0.3097, 0.4961, 0.6589], [0.7963, 0.9035, 0.1010], [0.1864, 0.6903, 0.6589], [0.8037, 0.1610, 0.4931], [0.9632, 0.3410, 0.7360], [0.6667, 0.3333, 0.5658], [0.3333, 0.6667, 0.4277], [0.6222, 0.6590, 0.2360], [0.3410, 0.9632, 0.2360], [0.3333, 0.6667, 0.0658], [0.6590, 0.6222, 0.7360], [0.0368, 0.3778, 0.2360], [0.3778, 0.0368, 0.7360], [0.6667, 0.3333, 0.9277], [0.9860, 0.6559, 0.8743], [0.6698, 0.0140, 0.8743], [0.9888, 0.6679, 0.6147], [0.0140, 0.6698, 0.3743], [0.3209, 0.3321, 0.1147], [0.6559, 0.9860, 0.3743], [0.6679, 0.9888, 0.1147], [0.3441, 0.3302, 0.8743], [0.6791, 0.0112, 0.6147], [0.0112, 0.6791, 0.1147], [0.3321, 0.3209, 0.6147], [0.3302, 0.3441, 0.3743], [0.0000, 0.0000, 0.4890], [0.0000, 0.0000, 0.9890]], "magnetic_moment_mub_per_atom": 0.00, "sg": "P31c", "formation_energy_ev_per_atom": -0.961, "dft_energy_ev_per_fu": -592.51}

=====

# 14
{"formula": "Sc2AgRu", "functional": "r²SCAN", "state": "optimized geometry", "lattice_angstrom": [[0.0000, 3.2959, 3.2959], [3.2959, 0.0000, 3.2959], [3.2959, 3.2959, 0.0000]], "species": ["Sc", "Sc", "Ag", "Ru"], "frac_coords": [[0.0000, 0.0000, 0.0000], [0.5000, 0.5000, 0.5000], [0.2500, 0.2500, 0.2500], [0.7500, 0.7500, 0.7500]], "magnetic_moment_mub_per_atom": 0.00, "sg": "Fm-3m", "formation_energy_ev_per_atom": -0.440, "dft_energy_ev_per_fu": -71.34}

=====

# 15
{"formula": "Sm2AgRu", "functional": "r²SCAN", "state": "optimized geometry", "lattice_angstrom": [[0.0000, 3.5597, 3.5597], [3.5597, 0.0000, 3.5597], [3.5597, 3.5597, 0.0000]], "species": ["Ag", "Ru", "Sm", "Sm"], "frac_coords": [[0.2500, 0.2500, 0.2500], [0.7500, 0.7500, 0.7500], [0.0000, 0.0000, 0.0000], [0.5000, 0.5000, 0.5000]], "magnetic_moment_mub_per_atom": 0.00, "sg": "Fm-3m", "formation_energy_ev_per_atom": -0.282, "dft_energy_ev_per_fu": -107.37}

=====

# 16
{"formula": "Tm2AgRu", "functional": "r²SCAN", "state": "optimized geometry", "lattice_angstrom": [[-4.6444, 0.5945, 1.2894], [-2.1137, 4.3470, -0.4716], [-3.3952, 0.6929, -3.4028]], "species": ["Tm", "Tm", "Ru", "Ag"], "frac_coords": [[0.0000, 0.0000, 0.0000], [0.5000, 0.5000, 0.5000], [0.7500, 0.7500, 0.7500], [0.2500, 0.2500, 0.2500]], "magnetic_moment_mub_per_atom": 0.00, "sg": "Fm-3m", "formation_energy_ev_per_atom": -0.443, "dft_energy_ev_per_fu": -118.80}

=====

# 17
{"formula": "SiAg8S6", "functional": "r²SCAN", "state": "optimized geometry", "lattice_angstrom": [[7.4707, 0.0000, 0.0000], [0.0000, 10.5768, 0.0000], [0.0000, 0.0000, 15.0625]], "species": ["Si", "Si", "Si", "Si", "S", "S", "S", "S", "S", "S", "S", "S", "S", "S", "S", "S", "S", "S", "S", "S", "S", "S", "S", "S", "S", "S", "S", "S", "Ag", "Ag", "Ag", "Ag", "Ag", "Ag", "Ag", "Ag", "Ag", "Ag", "Ag", "Ag", "Ag", "Ag", "Ag", "Ag", "Ag", "Ag", "Ag", "Ag", "Ag", "Ag", "Ag", "Ag", "Ag", "Ag", "Ag", "Ag", "Ag", "Ag", "Ag", "Ag"], "frac_coords": [[0.7646, 0.5318, 0.1234], [0.2354, 0.0318, 0.8766], [0.7354, 0.5318, 0.6234], [0.2646, 0.0318, 0.3766], [0.7695, 0.6524, 0.2364], [0.2305, 0.1524, 0.7636], [0.7712, 0.2763, 0.8792], [0.8259, 0.0136, 0.6129], [0.0328, 0.9116, 0.3727], [0.4672, 0.9116, 0.8727], [0.7305, 0.6524, 0.7364], [0.5328, 0.4116, 0.1273], [0.1741, 0.5136, 0.3871], [0.6741, 0.0136, 0.1129], [0.0058, 0.9107, 0.8785], [0.2704, 0.1485, 0.4920], [0.3259, 0.5136, 0.8871], [0.2712, 0.7763, 0.6208], [0.7296, 0.6485, 0.5080], [0.2288, 0.7763, 0.1208], [0.2296, 0.1485, 0.9920], [0.4942, 0.9107, 0.3785], [0.9672, 0.4116, 0.6273], [0.5058, 0.4107, 0.6215], [0.2695, 0.1524, 0.2636], [0.7704, 0.6485, 0.0080], [0.7288, 0.2763, 0.3792], [0.9942, 0.4107, 0.1215], [0.4261, 0.3628, 0.4318], [0.9929, 0.2947, 0.2744], [0.7714, 0.5134, 0.8684], [0.3866, 0.6903, 0.4117], [0.2367, 0.5451, 0.5630], [0.4831, 0.7696, 0.0137], [0.5739, 0.8628, 0.5682], [0.3800, 0.6903, 0.7685], [0.7633, 0.0451, 0.4370], [0.0071, 0.7947, 0.7256], [0.8866, 0.1903, 0.0883], [0.6322, 0.9771, 0.7402], [0.8678, 0.9771, 0.2402], [0.2286, 0.0134, 0.1316], [0.1322, 0.4771, 0.7598], [0.7286, 0.5134, 0.3684], [0.2633, 0.5451, 0.0630], [0.9831, 0.2696, 0.4863], [0.1200, 0.6903, 0.2685], [0.3678, 0.4771, 0.2598], [0.6134, 0.1903, 0.5883], [0.8800, 0.1903, 0.7315], [0.9261, 0.8628, 0.0682], [0.5071, 0.2947, 0.7744], [0.5169, 0.2696, 0.9863], [0.0169, 0.7696, 0.5137], [0.4929, 0.7947, 0.2256], [0.2714, 0.0134, 0.6316], [0.6200, 0.1903, 0.2315], [0.7367, 0.0451, 0.9370], [0.1134, 0.6903, 0.9117], [0.0739, 0.3628, 0.9318]], "magnetic_moment_mub_per_atom": 0.00, "sg": "Pna2_1", "formation_energy_ev_per_atom": -0.286, "dft_energy_ev_per_fu": -232.11}